# CaMnP4O12 meta-GGA r2SCAN relaxed
data_CaMnP4O12
_cell_length_a 7.555
_cell_length_b 7.555
_cell_length_c 10.123
_cell_angle_alpha 66.61
_cell_angle_beta 66.61
_cell_angle_gamma 70.72
_space_group_name_H-M_alt 'P 1'
_space_group_IT_number 1
loop_
_space_group_symop_operation_xyz
'x,y,z'
loop_
_atom_site_label
_atom_site_fract_x
_atom_site_fract_y
_atom_site_fract_z
O1 0.132 0.290 0.676
O2 0.740 0.510 0.945
O3 0.702 0.465 0.332
O4 0.900 0.183 0.081
O5 0.794 0.307 0.574
O6 0.693 0.206 0.926
O7 0.490 0.260 0.555
O8 0.260 0.490 0.055
O9 0.817 0.100 0.419
O10 0.192 0.355 0.340
O11 0.465 0.702 0.832
O12 0.183 0.900 0.581
O13 0.808 0.645 0.660
O14 0.290 0.132 0.176
O15 0.868 0.710 0.324
O16 0.298 0.535 0.668
O17 0.307 0.794 0.074
O18 0.535 0.298 0.168
O19 0.100 0.817 0.919
O20 0.710 0.868 0.824
O21 0.645 0.808 0.160
O22 0.510 0.740 0.445
O23 0.206 0.693 0.426
O24 0.355 0.192 0.840
P1 0.692 0.688 0.804
P2 0.271 0.716 0.974
P3 0.716 0.271 0.474
P4 0.688 0.692 0.304
P5 0.308 0.312 0.196
P6 0.312 0.308 0.696
P7 0.284 0.729 0.526
P8 0.729 0.284 0.026
Ca1 0.046 0.954 0.250
Ca2 0.954 0.046 0.750
Mn1 0.000 0.500 0.500
Mn2 0.500 0.000 0.000
# Total moment, μB per cell: 10.00
# Calculated volume, Å³/cell: 476
# E_form, meV/atom: -2554
# Uncorrected energy, eV/cell: -350.73